# ThUAl6

An optimized crystal structure of ThUAl6 (PBE, Materials Project).

Results
Calculated total energy (eV per atom): -5.390
Energy of formation from the pure elements (kJ/mol of atoms): -23.4
Total magnetization (μB/f.u.): 2.7

Unit cell a=6.367 b=6.367 c=4.602 alpha=90.00 beta=90.00 gamma=120.00
Fractional positions:
U1 0.000 0.000 0.500
Th1 0.667 0.333 0.000
Al1 0.045 0.522 0.500
Al2 0.184 0.816 0.000
Al3 0.184 0.369 0.000
Al4 0.478 0.955 0.500
Al5 0.478 0.522 0.500
Al6 0.631 0.816 0.000